#A
Entry from the Materials Project: a relaxed Mn3SbO8 crystal (GGA+U).

Geometry as POSCAR:
```
Mn3SbO8
1.0
-3.1461 -2.4328 7.4111
7.7502 -0.0721 3.2664
-0.9128 8.3383 2.3498
O Mn Sb
32 12 4
Direct
0.8860 0.6320 0.9713
0.1483 0.8968 0.5170
0.1525 0.1103 0.7537
0.8680 0.3860 0.7213
0.3475 0.6103 0.9963
0.1107 0.6311 0.7697
0.8968 0.1483 0.4830
0.1032 0.8517 0.9830
0.8689 0.6107 0.5197
0.3860 0.8680 0.2787
0.1311 0.3893 0.0197
0.6525 0.3897 0.4963
0.3893 0.1311 0.9803
0.6320 0.8860 0.0287
0.3689 0.8893 0.7303
0.3968 0.3517 0.7670
0.1140 0.3680 0.4713
0.6140 0.1320 0.7787
0.6032 0.6483 0.2670
0.6311 0.1107 0.2303
0.8893 0.3689 0.2697
0.3680 0.1140 0.5287
0.6483 0.6032 0.7330
0.8897 0.8475 0.7463
0.3897 0.6525 0.5037
0.8475 0.8897 0.2537
0.6103 0.3475 0.0037
0.1103 0.1525 0.2463
0.3517 0.3968 0.2330
0.8517 0.1032 0.0170
0.1320 0.6140 0.2213
0.6107 0.8689 0.4803
0.8792 0.6178 0.7486
0.1178 0.6208 0.9986
0.3638 0.6362 0.2500
0.8822 0.3792 0.4986
0.6362 0.3638 0.7500
0.8638 0.8638 0.0000
0.1208 0.3822 0.2486
0.3792 0.8822 0.5014
0.6178 0.8792 0.2514
0.6208 0.1178 0.0014
0.1362 0.1362 0.5000
0.3822 0.1208 0.7514
0.6253 0.6253 0.5000
0.1253 0.8747 0.7500
0.8747 0.1253 0.2500
0.3747 0.3747 0.0000
```

V ... 12.838 Å³/atom
Total moment ... 0.83 μB per atom
Crystal system ... tetragonal



#B
Entry from the Materials Project: a relaxed Mn3SbO8 crystal (GGA+U).

Geometry as POSCAR:
```
Mn3SbO8
1.0
-4.0308 9.6951 1.1475
-6.7705 7.1863 -3.7435
-9.6873 11.3214 -0.3737
Mn O Sb
3 8 1
Direct
0.5000 0.5000 0.0000
0.5000 0.0000 0.0000
0.0000 0.5000 0.0000
0.5048 0.0259 0.7129
0.0010 0.0008 0.2726
0.4953 0.9741 0.2871
0.0268 0.5048 0.7124
0.9730 0.4951 0.2877
0.5204 0.5203 0.2390
0.9990 0.9992 0.7274
0.4796 0.4797 0.7610
0.0000 0.0000 0.0000
```

V ... 13.248 Å³/atom
Total moment ... 0.83 μB per atom
Crystal system ... monoclinic



#C
Entry from the Materials Project: a relaxed Mn3SbO8 crystal (GGA+U).

Geometry as POSCAR:
```
Mn3SbO8
1.0
-3.6889 4.3336 -1.5950
1.8596 -3.9234 -4.0101
-7.2668 -5.4600 1.9720
O Mn Sb
16 6 2
Direct
0.8337 0.1663 0.0996
0.8337 0.6673 0.0996
0.0375 0.5188 0.3396
0.4812 0.5188 0.3396
0.1663 0.3327 0.5996
0.3333 0.6667 0.1120
0.0000 0.0000 0.3060
0.5188 0.4812 0.8396
0.5188 0.0375 0.8396
0.6667 0.3333 0.6120
0.0000 0.0000 0.8060
0.3327 0.1663 0.0996
0.1663 0.8337 0.5996
0.9625 0.4812 0.8396
0.4812 0.9625 0.3396
0.6673 0.8337 0.5996
0.1675 0.8325 0.2112
0.1675 0.3350 0.2112
0.6650 0.8325 0.2112
0.3350 0.1675 0.7112
0.8325 0.1675 0.7112
0.8325 0.6650 0.7112
0.6667 0.3333 0.9893
0.3333 0.6667 0.4893
```

V ... 11.724 Å³/atom
Total moment ... 0.83 μB per atom
Crystal system ... hexagonal



Tell me which of them is the most stable. Sure, it is #C.